[1]
The following is a r²SCAN calculation of YbRh after structural relaxation, from the Materials Project database.

Calculated values
Magnetization = 0.00 μB/f.u.
Energy of formation = -1.0903 eV/atom
Electronic total energy = -1.1548 hartree per atom

Cell: 3.340 3.340 3.340 Å, 90.00 90.00 90.00°
Element x y z (fractional)
1 Yb 0.000 0.000 0.000
2 Rh 0.500 0.500 0.500

[2]
The following is a r²SCAN calculation of BeSiRu2 after structural relaxation, from the Materials Project database.

Calculated values
Magnetization = 0.00 μB/f.u.
Energy of formation = -0.5611 eV/atom
Electronic total energy = -0.6083 hartree per atom

Cell: 4.027 4.027 4.027 Å, 60.00 60.00 60.00°
Element x y z (fractional)
1 Be 0.000 0.000 0.000
2 Si 0.500 0.500 0.500
3 Ru 0.250 0.250 0.250
4 Ru 0.750 0.750 0.750

[3]
The following is a r²SCAN calculation of Cs4Re6Se13 after structural relaxation, from the Materials Project database.

Calculated values
Magnetization = 0.00 μB/f.u.
Energy of formation = -0.7901 eV/atom
Electronic total energy = -0.9892 hartree per atom

Cell: 10.418 10.418 14.378 Å, 95.40 95.40 119.88°
Element x y z (fractional)
1 Cs 0.163 0.403 0.582
2 Cs 0.182 0.220 0.278
3 Cs 0.220 0.182 0.778
4 Cs 0.403 0.163 0.082
5 Cs 0.597 0.837 0.918
6 Cs 0.780 0.818 0.222
7 Cs 0.818 0.780 0.722
8 Cs 0.837 0.597 0.418
9 Re 0.062 0.648 0.107
10 Re 0.082 0.648 0.925
11 Re 0.184 0.507 0.022
12 Re 0.352 0.918 0.575
13 Re 0.352 0.938 0.393
14 Re 0.493 0.816 0.478
15 Re 0.507 0.184 0.522
16 Re 0.648 0.062 0.607
17 Re 0.648 0.082 0.425
18 Re 0.816 0.493 0.978
19 Re 0.918 0.352 0.075
20 Re 0.938 0.352 0.893
21 Se 0.039 0.220 0.993
22 Se 0.136 0.773 0.667
23 Se 0.140 0.860 0.250
24 Se 0.156 0.508 0.196
25 Se 0.196 0.510 0.847
26 Se 0.210 0.687 0.446
27 Se 0.220 0.039 0.493
28 Se 0.227 0.864 0.833
29 Se 0.313 0.790 0.054
30 Se 0.449 0.528 0.068
31 Se 0.472 0.551 0.432
32 Se 0.490 0.804 0.653
33 Se 0.492 0.844 0.304
34 Se 0.508 0.156 0.696
35 Se 0.510 0.196 0.347
36 Se 0.528 0.449 0.568
37 Se 0.551 0.472 0.932
38 Se 0.687 0.210 0.946
39 Se 0.773 0.136 0.167
40 Se 0.780 0.961 0.507
41 Se 0.790 0.313 0.554
42 Se 0.804 0.490 0.153
43 Se 0.844 0.492 0.804
44 Se 0.860 0.140 0.750
45 Se 0.864 0.227 0.333
46 Se 0.961 0.780 0.007

[4]
The following is a r²SCAN calculation of SrZnBi2 after structural relaxation, from the Materials Project database.

Calculated values
Magnetization = 0.00 μB/f.u.
Energy of formation = -0.5033 eV/atom
Electronic total energy = -1.3145 hartree per atom

Cell: 11.989 11.989 11.989 Å, 158.03 158.03 31.27°
Element x y z (fractional)
1 Sr 0.118 0.118 0.000
2 Sr 0.882 0.882 0.000
3 Zn 0.250 0.750 0.500
4 Zn 0.750 0.250 0.500
5 Bi 0.000 0.500 0.500
6 Bi 0.325 0.325 0.000
7 Bi 0.500 0.000 0.500
8 Bi 0.675 0.675 0.000

[5]
The following is a r²SCAN calculation of EuSeO4 after structural relaxation, from the Materials Project database.

Calculated values
Magnetization = 6.99 μB/f.u.
Energy of formation = -1.8163 eV/atom
Electronic total energy = -0.5367 hartree per atom

Cell: 6.846 7.309 8.597 Å, 90.00 126.93 90.00°
Element x y z (fractional)
1 Eu 0.178 0.155 0.279
2 Eu 0.178 0.345 0.779
3 Eu 0.822 0.655 0.221
4 Eu 0.822 0.845 0.721
5 Se 0.311 0.664 0.195
6 Se 0.311 0.836 0.695
7 Se 0.689 0.164 0.305
8 Se 0.689 0.336 0.805
9 O 0.116 0.660 0.614
10 O 0.116 0.840 0.114
11 O 0.187 0.501 0.246
12 O 0.187 0.999 0.746
13 O 0.337 0.609 0.020
14 O 0.337 0.891 0.520
15 O 0.402 0.212 0.119
16 O 0.402 0.288 0.619
17 O 0.598 0.712 0.381
18 O 0.598 0.788 0.881
19 O 0.663 0.109 0.480
20 O 0.663 0.391 0.980
21 O 0.813 0.001 0.254
22 O 0.813 0.499 0.754
23 O 0.884 0.160 0.886
24 O 0.884 0.340 0.386

[6]
The following is a r²SCAN calculation of AcPr3 after structural relaxation, from the Materials Project database.

Calculated values
Magnetization = 0.00 μB/f.u.
Energy of formation = 0.0424 eV/atom
Electronic total energy = -1.4395 hartree per atom

Cell: 6.575 6.575 6.575 Å, 131.76 131.76 70.61°
Element x y z (fractional)
1 Ac 0.000 0.000 0.000
2 Pr 0.250 0.750 0.500
3 Pr 0.500 0.500 0.000
4 Pr 0.750 0.250 0.500